1.
# Ca2SiB5O14

A geometry-optimized Ca2SiB5O14 structure (PBE, the Materials Project database).

Lattice parameters (Å, degrees): 9.4448 8.6645 13.2090 74.82 90.00 90.00
Element x y z (fractional)
B  0.3459  0.5334  0.1580
B  0.6541  0.4666  0.8420
B  0.1541  0.0334  0.1580
B  0.7396  0.7157  0.3390
B  0.5981  0.7506  0.4900
B  0.7604  0.2157  0.3390
B  0.3866  0.0238  0.6838
B  0.0981  0.7494  0.5100
B  0.2396  0.7843  0.6610
B  0.9682  0.2480  0.0392
B  0.0318  0.7520  0.9608
B  0.5318  0.7480  0.0392
B  0.9019  0.2506  0.4900
B  0.8866  0.4762  0.3162
B  0.1134  0.5238  0.6838
B  0.2604  0.2843  0.6610
B  0.6134  0.9762  0.3162
B  0.4682  0.2520  0.9608
B  0.4019  0.2494  0.5100
B  0.8459  0.9666  0.8420
O  0.0313  0.9308  0.1907
O  0.4687  0.4308  0.1907
O  0.2232  0.4582  0.1257
O  0.8201  0.1503  0.4364
O  0.0263  0.4785  0.2653
O  0.4116  0.0775  0.5685
O  0.4737  0.9785  0.2653
O  0.7768  0.5417  0.8743
O  0.9072  0.8579  0.9373
O  0.1799  0.8497  0.5636
O  0.1615  0.8486  0.9391
O  0.4072  0.6421  0.0627
O  0.5313  0.5692  0.8093
O  0.5137  0.8238  0.9255
O  0.0137  0.6762  0.0745
O  0.5442  0.8675  0.1002
O  0.8493  0.2324  0.5941
O  0.3291  0.5948  0.2480
O  0.5524  0.2823  0.4969
O  0.6799  0.6503  0.4364
O  0.9558  0.3675  0.1002
O  0.7883  0.3698  0.2822
O  0.6709  0.4052  0.7520
O  0.0928  0.1421  0.0627
O  0.2117  0.6302  0.7178
O  0.9687  0.0692  0.8093
O  0.1711  0.3615  0.7121
O  0.8289  0.6385  0.2879
O  0.5263  0.0215  0.7347
O  0.6615  0.6514  0.0609
O  0.9116  0.4225  0.4315
O  0.8291  0.9052  0.7520
O  0.4863  0.1762  0.0745
O  0.4558  0.1325  0.8998
O  0.1507  0.7676  0.4059
O  0.0884  0.5775  0.5685
O  0.0524  0.2177  0.5031
O  0.2883  0.1302  0.7178
O  0.9863  0.3238  0.9255
O  0.8385  0.1514  0.0609
O  0.9737  0.5215  0.7347
O  0.6711  0.1385  0.2879
O  0.1709  0.0948  0.2480
O  0.3289  0.8615  0.7121
O  0.2768  0.9582  0.1257
O  0.7232  0.0418  0.8743
O  0.9476  0.7823  0.4969
O  0.7117  0.8698  0.2822
O  0.3385  0.3486  0.9391
O  0.4476  0.7177  0.5031
O  0.0442  0.6325  0.8998
O  0.3493  0.2676  0.4059
O  0.5884  0.9225  0.4315
O  0.5928  0.3579  0.9373
O  0.3201  0.3497  0.5636
O  0.6507  0.7324  0.5941
Si  0.9426  0.5078  0.8590
Si  0.4426  0.9922  0.1410
Si  0.0574  0.4922  0.1410
Si  0.5574  0.0078  0.8590
Ca  0.8184  0.8540  0.1149
Ca  0.6922  0.0028  0.5990
Ca  0.3184  0.6460  0.8851
Ca  0.1922  0.4972  0.4010
Ca  0.8078  0.5028  0.5990
Ca  0.1816  0.1460  0.8851
Ca  0.6816  0.3540  0.1149
Ca  0.3078  0.9972  0.4010

Properties
As for the total energy: -7.243 eV/atom. As for the formation energy: -2.5841 eV per atom. As for the space group: P2_1/c (14). The volume is 260.8 Å³/f.u.


2.
# Ca4YB3O10

A geometry-optimized Ca4YB3O10 structure (PBE, the Materials Project database).

Lattice parameters (Å, degrees): 9.0268 9.0268 3.5647 84.97 84.97 126.41
Element x y z (fractional)
O  0.3327  0.1837  0.8569
O  0.0262  0.7420  0.5260
O  0.4967  0.0347  0.3290
O  0.7420  0.0262  0.5260
O  0.0347  0.4967  0.3290
O  0.7615  0.4180  0.7207
O  0.6280  0.6280  0.1844
O  0.4180  0.7615  0.7207
O  0.1837  0.3327  0.8569
O  0.9974  0.9974  0.9996
Ca  0.5518  0.3265  0.2775
Ca  0.3265  0.5518  0.2775
Ca  0.8790  0.2429  0.9489
Ca  0.2429  0.8790  0.9489
B  0.1715  0.1715  0.9047
B  0.5532  0.9416  0.5234
B  0.9416  0.5532  0.5234
Y  0.7989  0.7989  0.6054

Properties
As for the total energy: -7.671 eV/atom. As for the formation energy: -3.3854 eV per atom. As for the space group: Cm (8). The volume is 229.3 Å³/f.u. Its largest piezoelectric modulus is 1.0 C/m2.


3.
# Ca2B5Os3

A geometry-optimized Ca2B5Os3 structure (PBE, the Materials Project database).

Lattice parameters (Å, degrees): 5.6442 5.6442 7.9589 59.04 59.04 42.29
Element x y z (fractional)
B  0.0746  0.6265  0.8102
B  0.5386  0.5338  0.3775
B  0.7379  0.2621  0.0000
B  0.3735  0.9254  0.1898
B  0.4662  0.4614  0.6225
Os  0.0071  0.9929  0.5000
Os  0.6082  0.1207  0.9036
Os  0.8793  0.3918  0.0964
Ca  0.3939  0.9133  0.7416
Ca  0.0867  0.6061  0.2584

Properties
As for the total energy: -7.477 eV/atom. As for the formation energy: -0.3681 eV per atom. As for the space group: C2 (5). The volume is 142.3 Å³/f.u.


4.
# CaB4Pt6

A geometry-optimized CaB4Pt6 structure (PBE, the Materials Project database).

Lattice parameters (Å, degrees): 6.1214 6.1214 5.3551 90.00 90.00 120.00
Element x y z (fractional)
B  0.6667  0.3333  0.9342
B  0.3333  0.6667  0.4318
B  0.6667  0.3333  0.5682
B  0.3333  0.6667  0.0658
Pt  0.5156  0.4844  0.2497
Pt  0.4844  0.9688  0.7503
Pt  0.0312  0.5156  0.7503
Pt  0.9688  0.4844  0.2497
Pt  0.5156  0.0312  0.2497
Pt  0.4844  0.5156  0.7503
Ca  0.0000  0.0000  0.5000

Properties
As for the total energy: -6.315 eV/atom. As for the formation energy: -0.3918 eV per atom. As for the space group: P-3m1 (164). The volume is 173.8 Å³/f.u.